(1)
# KNaAl6Si6H4O24

KNaAl6Si6H4O24 after structural relaxation (PBE, the Materials Project).

a = 9.0605 Å, b = 10.4226 Å, c = 19.9760 Å
α = 95.51°, β = 89.93°, γ = 90.00°
Fractional positions:
O: 0.3876 0.6306 0.1718
O: 0.5463 0.0137 0.9445
O: 0.6945 0.6045 0.8410
O: 0.1325 0.6273 0.8303
O: 0.7470 0.8111 0.9488
O: 0.2462 0.0524 0.9445
O: 0.3043 0.6097 0.3411
O: 0.9392 0.5218 0.9503
O: 0.5906 0.9506 0.1696
O: 0.9131 0.7064 0.6723
O: 0.9384 0.0224 0.9501
O: 0.7514 0.5558 0.4452
O: 0.4054 0.5480 0.8299
O: 0.4466 0.9807 0.0561
O: 0.1912 0.8760 0.8393
O: 0.6948 0.8959 0.6588
O: 0.6032 0.8629 0.8271
O: 0.0586 0.5252 0.4506
O: 0.8081 0.6193 0.1593
O: 0.6943 0.3958 0.6596
O: 0.2471 0.9479 0.5558
O: 0.2488 0.6873 0.0510
O: 0.9429 0.2706 0.4446
O: 0.8634 0.8703 0.1698
O: 0.3918 0.1336 0.1737
O: 0.0822 0.1955 0.1735
O: 0.0829 0.7046 0.1722
O: 0.2467 0.5530 0.9446
O: 0.8684 0.1292 0.3299
O: 0.0840 0.8021 0.3273
O: 0.8059 0.8802 0.3413
O: 0.9429 0.2292 0.0561
O: 0.4486 0.0203 0.4441
O: 0.3013 0.3892 0.1593
O: 0.0570 0.4758 0.0499
O: 0.1914 0.3760 0.8398
O: 0.5936 0.5479 0.3311
O: 0.0563 0.2323 0.5554
O: 0.7476 0.3105 0.9490
O: 0.9128 0.7940 0.8279
O: 0.9131 0.2062 0.6722
O: 0.7483 0.6893 0.5514
O: 0.5923 0.0530 0.3299
O: 0.9131 0.2941 0.8283
O: 0.1325 0.3729 0.6699
O: 0.6036 0.3627 0.8272
O: 0.0563 0.7324 0.5556
O: 0.2998 0.8935 0.1615
O: 0.9406 0.7299 0.0549
O: 0.8020 0.1220 0.1601
O: 0.1327 0.8731 0.6700
O: 0.8655 0.6315 0.3310
O: 0.0553 0.7680 0.9446
O: 0.1915 0.1244 0.6608
O: 0.0557 0.2679 0.9451
O: 0.0851 0.2989 0.3277
O: 0.2501 0.3143 0.4490
O: 0.5655 0.7758 0.4512
O: 0.9401 0.4780 0.5502
O: 0.5911 0.4490 0.1700
O: 0.0561 0.9747 0.0495
O: 0.7489 0.9442 0.0553
O: 0.1915 0.6243 0.6608
O: 0.9392 0.9784 0.5500
O: 0.9435 0.7708 0.4450
O: 0.4052 0.0481 0.8299
O: 0.4490 0.5188 0.4449
O: 0.8656 0.3690 0.1701
O: 0.5649 0.7242 0.0491
O: 0.4481 0.4807 0.0555
O: 0.2481 0.1842 0.0516
O: 0.0572 0.0250 0.4506
O: 0.4323 0.2296 0.5492
O: 0.7497 0.0584 0.4445
O: 0.5474 0.9867 0.5556
O: 0.3902 0.8696 0.3277
O: 0.4328 0.7299 0.5490
O: 0.4322 0.7707 0.9512
O: 0.2494 0.8150 0.4491
O: 0.6943 0.1044 0.8413
O: 0.4314 0.2705 0.9513
O: 0.3008 0.1084 0.3389
O: 0.5637 0.2239 0.0490
O: 0.7494 0.4422 0.0556
O: 0.8078 0.3788 0.3400
O: 0.5655 0.2766 0.4515
O: 0.4056 0.9522 0.6703
O: 0.3930 0.3672 0.3273
O: 0.7480 0.1898 0.5514
O: 0.6036 0.1374 0.6730
O: 0.4053 0.4524 0.6707
O: 0.2473 0.4475 0.5558
O: 0.5476 0.4866 0.5563
O: 0.5471 0.5136 0.9443
O: 0.1323 0.1274 0.8305
O: 0.6037 0.6376 0.6734
Si: 0.0694 0.7695 0.8626
Si: 0.2426 0.0251 0.8631
Si: 0.5663 0.0072 0.8619
Si: 0.5667 0.5072 0.8617
Si: 0.7565 0.5276 0.3640
Si: 0.2432 0.9753 0.6371
Si: 0.7533 0.9725 0.1367
Si: 0.5669 0.9930 0.6382
Si: 0.4283 0.9894 0.1389
Si: 0.9295 0.2718 0.3625
Si: 0.0695 0.2696 0.8630
Si: 0.5669 0.4932 0.6388
Si: 0.0698 0.7309 0.6376
Si: 0.9275 0.2258 0.1381
Si: 0.0697 0.2308 0.6375
Si: 0.2431 0.4751 0.6372
Si: 0.7546 0.4703 0.1368
Si: 0.7551 0.0300 0.3632
Si: 0.4280 0.4872 0.1381
Si: 0.2429 0.5252 0.8632
Si: 0.4296 0.0130 0.3615
Si: 0.9274 0.7285 0.1369
Si: 0.4305 0.5112 0.3622
Si: 0.9290 0.7743 0.3632
H: 0.1424 0.0636 0.4309
H: 0.8526 0.0614 0.9311
H: 0.8537 0.5602 0.9308
H: 0.1421 0.9353 0.0681
H: 0.3415 0.6840 0.5555
H: 0.3410 0.1834 0.5551
H: 0.3408 0.8165 0.9451
H: 0.1428 0.4368 0.0689
H: 0.6566 0.6781 0.0544
H: 0.6568 0.3224 0.4451
H: 0.6547 0.1781 0.0561
H: 0.1454 0.5650 0.4328
H: 0.3404 0.3166 0.9448
H: 0.8537 0.9398 0.5696
H: 0.8539 0.4390 0.5690
H: 0.6567 0.8217 0.4445
Al: 0.2590 0.7718 0.3621
Al: 0.9133 0.6260 0.5018
Al: 0.4142 0.8767 0.4991
Al: 0.5822 0.8716 0.9994
Al: 0.4142 0.3765 0.4995
Al: 0.0842 0.6235 0.0012
Al: 0.7376 0.7335 0.6382
Al: 0.4127 0.1235 0.0011
Al: 0.4135 0.6239 0.0010
Al: 0.7375 0.2336 0.6382
Al: 0.9125 0.1264 0.5014
Al: 0.9122 0.3740 0.9990
Al: 0.9114 0.8743 0.9985
Al: 0.5832 0.1293 0.5009
Al: 0.7373 0.2667 0.8622
Al: 0.0838 0.1226 0.0014
Al: 0.5834 0.6287 0.5012
Al: 0.5823 0.3709 0.9993
Al: 0.0852 0.3770 0.4989
Al: 0.2582 0.7308 0.1380
Al: 0.0850 0.8776 0.4992
Al: 0.2595 0.2709 0.3620
Al: 0.7371 0.7668 0.8620
Al: 0.2567 0.2274 0.1386
K: 0.9017 0.0003 0.7502
K: 0.9021 0.5000 0.7502
K: 0.0972 0.5021 0.2500
K: 0.5991 0.7487 0.2501
Na: 0.1233 0.9986 0.2513
Na: 0.4239 0.7497 0.7506
Na: 0.5699 0.2520 0.2491
Na: 0.4243 0.2505 0.7498



(2)
# KNaAl6Si6H4O24

KNaAl6Si6H4O24 after structural relaxation (PBE, the Materials Project).

a = 9.0644 Å, b = 5.2104 Å, c = 20.0790 Å
α = 84.24°, β = 90.00°, γ = 90.00°
Fractional positions:
O: 0.8656 0.7442 0.3306
O: 0.4513 0.0312 0.0558
O: 0.3046 0.7886 0.3413
O: 0.1344 0.2558 0.6694
O: 0.6954 0.2114 0.6587
O: 0.0587 0.0459 0.0497
O: 0.8656 0.2558 0.1694
O: 0.3046 0.2114 0.1587
O: 0.3943 0.7277 0.1729
O: 0.4336 0.4542 0.9513
O: 0.9426 0.4623 0.4448
O: 0.1927 0.2471 0.8403
O: 0.6954 0.7886 0.8413
O: 0.2488 0.1081 0.5556
O: 0.9413 0.0459 0.5497
O: 0.7494 0.3741 0.9489
O: 0.0574 0.5377 0.5552
O: 0.0852 0.5878 0.1718
O: 0.0852 0.4122 0.3282
O: 0.1344 0.7442 0.8306
O: 0.0587 0.9541 0.4503
O: 0.2506 0.3741 0.4489
O: 0.7494 0.6259 0.5511
O: 0.5664 0.4542 0.4513
O: 0.6057 0.2723 0.8271
O: 0.0574 0.4623 0.9448
O: 0.9426 0.5377 0.0552
O: 0.8073 0.7529 0.1597
O: 0.5935 0.0953 0.1700
O: 0.4065 0.9047 0.8300
O: 0.4336 0.5458 0.5487
O: 0.1927 0.7529 0.6597
O: 0.3943 0.2723 0.3271
O: 0.9148 0.5878 0.6718
O: 0.8073 0.2471 0.3403
O: 0.7512 0.1081 0.0556
O: 0.9413 0.9541 0.9503
O: 0.7512 0.8919 0.4444
O: 0.5935 0.9047 0.3300
O: 0.4065 0.0953 0.6700
O: 0.5664 0.5458 0.0487
O: 0.5487 0.0312 0.5558
O: 0.5487 0.9688 0.9442
O: 0.6057 0.7277 0.6729
O: 0.9148 0.4122 0.8282
O: 0.2506 0.6259 0.0511
O: 0.4513 0.9688 0.4442
O: 0.2488 0.8919 0.9444
Al: 0.2609 0.5361 0.1377
Al: 0.5843 0.7470 0.5007
Al: 0.4157 0.2530 0.4993
Al: 0.7391 0.5361 0.6377
Al: 0.0861 0.7519 0.0011
Al: 0.4157 0.7470 0.0007
Al: 0.9139 0.2481 0.9989
Al: 0.7391 0.4639 0.8623
Al: 0.5843 0.2530 0.9993
Al: 0.0861 0.2481 0.4989
Al: 0.9139 0.7519 0.5011
Al: 0.2609 0.4639 0.3623
H: 0.1440 0.8770 0.4309
H: 0.8560 0.1230 0.5691
H: 0.6577 0.3626 0.4447
H: 0.6577 0.6374 0.0553
H: 0.1440 0.1230 0.0691
H: 0.3423 0.6374 0.5553
H: 0.3423 0.3626 0.9447
H: 0.8560 0.8770 0.9309
Si: 0.7557 0.0518 0.1366
Si: 0.4320 0.0166 0.1381
Si: 0.4320 0.9834 0.3619
Si: 0.9289 0.5401 0.1369
Si: 0.2443 0.0518 0.6366
Si: 0.5680 0.9834 0.8619
Si: 0.0711 0.4599 0.8631
Si: 0.5680 0.0166 0.6381
Si: 0.9289 0.4599 0.3631
Si: 0.7557 0.9482 0.3634
Si: 0.2443 0.9482 0.8634
Si: 0.0711 0.5401 0.6369
K: 0.0971 0.0000 0.2500
K: 0.9029 0.0000 0.7500
Na: 0.4266 0.5000 0.7500
Na: 0.5734 0.5000 0.2500



(3)
# KAl2P2H4O11

KAl2P2H4O11 after structural relaxation (PBE, the Materials Project).

a = 9.0192 Å, b = 9.8565 Å, c = 10.2273 Å
α = 90.00°, β = 90.00°, γ = 90.00°
Fractional positions:
O: 0.9650 0.8440 0.3136
O: 0.8074 0.0563 0.8917
O: 0.4598 0.1536 0.5179
O: 0.2519 0.5235 0.8300
O: 0.0350 0.3440 0.1864
O: 0.1926 0.5563 0.6083
O: 0.9530 0.0418 0.4971
O: 0.7519 0.9765 0.1700
O: 0.7450 0.6805 0.3566
O: 0.5350 0.1560 0.8136
O: 0.2481 0.4765 0.3300
O: 0.2450 0.8195 0.6434
O: 0.7550 0.3195 0.8566
O: 0.0470 0.5418 0.0029
O: 0.0344 0.3643 0.8197
O: 0.0250 0.0935 0.2417
O: 0.4750 0.9065 0.7417
O: 0.9750 0.5935 0.2583
O: 0.2244 0.6940 0.1546
O: 0.5470 0.9582 0.9971
O: 0.4650 0.6560 0.6864
O: 0.7481 0.0235 0.6700
O: 0.0402 0.8464 0.0179
O: 0.4656 0.6357 0.3197
O: 0.7244 0.8060 0.8454
O: 0.9966 0.6196 0.7771
O: 0.4727 0.8300 0.5055
O: 0.9656 0.8643 0.6803
O: 0.0273 0.1700 0.0055
O: 0.3074 0.4437 0.1083
O: 0.5034 0.3804 0.2771
O: 0.4530 0.4582 0.5029
O: 0.5402 0.6536 0.9821
O: 0.4966 0.8804 0.2229
O: 0.6926 0.9437 0.3917
O: 0.9598 0.3464 0.4821
O: 0.5250 0.4065 0.7583
O: 0.5273 0.3300 0.9945
O: 0.7756 0.1940 0.3454
O: 0.0034 0.1196 0.7229
O: 0.5344 0.1357 0.1803
O: 0.2756 0.3060 0.6546
O: 0.2550 0.1805 0.1434
O: 0.9727 0.6700 0.4945
Al: 0.0802 0.7117 0.6374
Al: 0.8680 0.0128 0.3283
Al: 0.1320 0.5128 0.1717
Al: 0.3680 0.4872 0.6717
Al: 0.5802 0.7883 0.3626
Al: 0.6320 0.9872 0.8283
Al: 0.9198 0.2117 0.8626
Al: 0.4198 0.2883 0.1374
H: 0.5489 0.0996 0.5355
H: 0.8125 0.7859 0.7921
H: 0.3125 0.7141 0.2079
H: 0.0052 0.7592 0.9841
H: 0.0489 0.4004 0.4645
H: 0.5052 0.7408 0.0159
H: 0.6875 0.2141 0.2921
H: 0.1592 0.7727 0.1352
H: 0.6592 0.7273 0.8648
H: 0.4948 0.2408 0.4841
H: 0.3408 0.2273 0.6352
H: 0.9948 0.2592 0.5159
H: 0.8408 0.2727 0.3648
H: 0.9511 0.9004 0.0355
H: 0.4511 0.5996 0.9645
H: 0.1875 0.2859 0.7079
P: 0.0825 0.5092 0.8586
P: 0.4172 0.7991 0.6455
P: 0.4175 0.4908 0.3586
P: 0.9174 0.0092 0.6414
P: 0.5825 0.9908 0.1414
P: 0.5828 0.2991 0.8545
P: 0.0828 0.2009 0.1455
P: 0.9172 0.7009 0.3545
K: 0.2438 0.9997 0.8866
K: 0.2562 0.0003 0.3866
K: 0.7438 0.5003 0.1134
K: 0.7562 0.4997 0.6134



(4)
# KAl2P2H4O11

KAl2P2H4O11 after structural relaxation (PBE, the Materials Project).

a = 9.1041 Å, b = 9.9603 Å, c = 10.0808 Å
α = 90.00°, β = 90.00°, γ = 90.00°
Fractional positions:
H: 0.3343 0.7036 0.1788
H: 0.9091 0.2940 0.4606
H: 0.5909 0.7060 0.9606
H: 0.8343 0.7964 0.8212
H: 0.3254 0.2563 0.7316
H: 0.0174 0.4111 0.4963
H: 0.4091 0.2060 0.5394
H: 0.6746 0.7563 0.7684
H: 0.0909 0.7940 0.0394
H: 0.4826 0.5889 0.9963
H: 0.6657 0.2036 0.3212
H: 0.8254 0.2437 0.2684
H: 0.1746 0.7437 0.2316
H: 0.5174 0.0889 0.5037
H: 0.1657 0.2964 0.6788
H: 0.9826 0.9111 0.0037
O: 0.5320 0.1619 0.8004
O: 0.5466 0.9616 0.9837
O: 0.9974 0.6471 0.7937
O: 0.9970 0.5891 0.2802
O: 0.4680 0.6619 0.6996
O: 0.4974 0.8529 0.2063
O: 0.2279 0.6892 0.1667
O: 0.5030 0.4109 0.7802
O: 0.0320 0.3381 0.1996
O: 0.6902 0.9314 0.3812
O: 0.4534 0.4616 0.5163
O: 0.2721 0.3108 0.6667
O: 0.5266 0.3043 0.0080
O: 0.4970 0.9109 0.7198
O: 0.7279 0.8108 0.8333
O: 0.9174 0.3795 0.5075
O: 0.2412 0.5326 0.8372
O: 0.5026 0.3529 0.2937
O: 0.1902 0.5686 0.6188
O: 0.0030 0.0891 0.2198
O: 0.2588 0.4674 0.3372
O: 0.4734 0.8043 0.4920
O: 0.0826 0.8795 0.9925
O: 0.8098 0.0686 0.8812
O: 0.7570 0.6736 0.3581
O: 0.2570 0.8264 0.6419
O: 0.7412 0.9674 0.1628
O: 0.0266 0.1957 0.9920
O: 0.9918 0.8925 0.6889
O: 0.5082 0.1075 0.1889
O: 0.0026 0.1471 0.7063
O: 0.3098 0.4314 0.1188
O: 0.7430 0.3264 0.8581
O: 0.7588 0.0326 0.6628
O: 0.0082 0.3925 0.8111
O: 0.4918 0.6075 0.3111
O: 0.9734 0.6957 0.5080
O: 0.9534 0.0384 0.4837
O: 0.7721 0.1892 0.3333
O: 0.9680 0.8381 0.3004
O: 0.4174 0.1205 0.4925
O: 0.5826 0.6205 0.0075
O: 0.0466 0.5384 0.0163
O: 0.2430 0.1736 0.1419
K: 0.7410 0.5194 0.6432
K: 0.2410 0.9806 0.3568
K: 0.2590 0.0194 0.8568
K: 0.7590 0.4806 0.1432
Al: 0.6377 0.9983 0.8187
Al: 0.1377 0.5017 0.1813
Al: 0.4137 0.2704 0.1503
Al: 0.0863 0.7296 0.6503
Al: 0.5863 0.7704 0.3497
Al: 0.9137 0.2296 0.8497
Al: 0.8623 0.0017 0.3187
Al: 0.3623 0.4983 0.6813
P: 0.5752 0.2992 0.8619
P: 0.9248 0.7008 0.3619
P: 0.0721 0.5245 0.8657
P: 0.4279 0.4755 0.3657
P: 0.4248 0.7992 0.6381
P: 0.0752 0.2008 0.1381
P: 0.5721 0.9755 0.1343
P: 0.9279 0.0245 0.6343



Number 1: relative energy among the computed polymorphs 0.087 eV per formula unit. Number 2: relative energy among the computed polymorphs 0.004 eV per formula unit. Number 3: relative energy among the computed polymorphs 0.000 eV per formula unit. Number 4: relative energy among the computed polymorphs 0.388 eV per formula unit.